Entry 1:
Material: LiCoSiO4
Method: DFT, PBE+U
State: optimized geometry

abc: 10.175 6.104 4.687
angles: 90.00 90.00 90.00
Sites, in units of the cell vectors:
Li 0.219 0.250 0.038
Li 0.281 0.750 0.538
Li 0.719 0.250 0.462
Li 0.781 0.750 0.962
Co 0.000 0.000 0.500
Co 0.000 0.500 0.500
Co 0.500 0.000 0.000
Co 0.500 0.500 0.000
Si 0.087 0.750 0.091
Si 0.413 0.250 0.591
Si 0.587 0.750 0.409
Si 0.913 0.250 0.909
O 0.060 0.250 0.734
O 0.089 0.750 0.748
O 0.145 0.524 0.240
O 0.145 0.976 0.240
O 0.355 0.024 0.740
O 0.355 0.476 0.740
O 0.411 0.250 0.248
O 0.440 0.750 0.234
O 0.560 0.250 0.766
O 0.589 0.750 0.752
O 0.645 0.524 0.260
O 0.645 0.976 0.260
O 0.855 0.024 0.760
O 0.855 0.476 0.760
O 0.911 0.250 0.252
O 0.940 0.750 0.266

Results
Its corrected total energy (MP2020 scheme) is -7.200 eV per atom. As for the volume: 10.4 Å³ per atom. The crystal system is orthorhombic. As for the raw total energy: -184.1 eV per cell. The value obtained for the energy above the most stable polymorph in this dataset is 43.8 meV per atom. The formation energy is -2.31 eV per atom.


Entry 2:
Material: Li2Co2Si3O9
Method: DFT, PBE+U
State: optimized geometry

abc: 12.406 9.631 6.159
angles: 90.00 90.00 90.00
Sites, in units of the cell vectors:
Li 0.087 0.057 0.149
Li 0.087 0.443 0.149
Li 0.413 0.557 0.649
Li 0.413 0.943 0.649
Li 0.587 0.057 0.351
Li 0.587 0.443 0.351
Li 0.913 0.557 0.851
Li 0.913 0.943 0.851
Co 0.164 0.000 0.700
Co 0.164 0.500 0.700
Co 0.336 0.000 0.200
Co 0.336 0.500 0.200
Co 0.664 0.000 0.800
Co 0.664 0.500 0.800
Co 0.836 0.000 0.300
Co 0.836 0.500 0.300
Si 0.038 0.250 0.542
Si 0.078 0.750 0.024
Si 0.212 0.750 0.425
Si 0.288 0.250 0.925
Si 0.422 0.250 0.524
Si 0.462 0.750 0.042
Si 0.538 0.250 0.958
Si 0.578 0.750 0.476
Si 0.712 0.750 0.075
Si 0.788 0.250 0.575
Si 0.922 0.250 0.976
Si 0.962 0.750 0.458
O 0.029 0.250 0.812
O 0.069 0.601 0.903
O 0.069 0.899 0.903
O 0.091 0.750 0.531
O 0.098 0.108 0.464
O 0.098 0.392 0.464
O 0.193 0.750 0.160
O 0.228 0.104 0.992
O 0.228 0.396 0.992
O 0.272 0.604 0.492
O 0.272 0.896 0.492
O 0.307 0.250 0.660
O 0.402 0.608 0.964
O 0.402 0.892 0.964
O 0.409 0.250 0.031
O 0.431 0.101 0.403
O 0.431 0.399 0.403
O 0.471 0.750 0.312
O 0.529 0.250 0.688
O 0.569 0.601 0.597
O 0.569 0.899 0.597
O 0.591 0.750 0.969
O 0.598 0.108 0.036
O 0.598 0.392 0.036
O 0.693 0.750 0.340
O 0.728 0.104 0.508
O 0.728 0.396 0.508
O 0.772 0.604 0.008
O 0.772 0.896 0.008
O 0.807 0.250 0.840
O 0.902 0.608 0.536
O 0.902 0.892 0.536
O 0.909 0.250 0.469
O 0.931 0.101 0.097
O 0.931 0.399 0.097
O 0.971 0.750 0.188

Results
Its corrected total energy (MP2020 scheme) is -7.477 eV per atom. As for the volume: 11.5 Å³ per atom. The crystal system is orthorhombic. As for the raw total energy: -440.7 eV per cell. The value obtained for the energy above the most stable polymorph in this dataset is 24.5 meV per atom. The formation energy is -2.55 eV per atom.


Entry 3:
Material: Li2CoSi4O10
Method: DFT, PBE+U
State: optimized geometry

abc: 7.069 9.584 14.277
angles: 90.00 90.00 90.00
Sites, in units of the cell vectors:
Li 0.064 0.159 0.032
Li 0.162 0.410 0.676
Li 0.338 0.590 0.176
Li 0.436 0.841 0.532
Li 0.564 0.341 0.968
Li 0.662 0.090 0.324
Li 0.838 0.910 0.824
Li 0.936 0.659 0.468
Co 0.002 0.193 0.846
Co 0.498 0.807 0.346
Co 0.502 0.307 0.154
Co 0.998 0.693 0.654
Si 0.031 0.974 0.568
Si 0.189 0.900 0.218
Si 0.234 0.363 0.324
Si 0.242 0.061 0.398
Si 0.258 0.939 0.898
Si 0.266 0.637 0.824
Si 0.311 0.100 0.718
Si 0.469 0.026 0.068
Si 0.531 0.526 0.432
Si 0.689 0.600 0.782
Si 0.734 0.137 0.676
Si 0.742 0.439 0.602
Si 0.758 0.561 0.102
Si 0.766 0.863 0.176
Si 0.811 0.400 0.282
Si 0.969 0.474 0.932
O 0.004 0.362 0.340
O 0.035 0.810 0.539
O 0.076 0.030 0.929
O 0.088 0.081 0.484
O 0.125 0.985 0.313
O 0.180 0.516 0.895
O 0.184 0.788 0.860
O 0.188 0.237 0.745
O 0.192 0.988 0.652
O 0.205 0.601 0.718
O 0.295 0.399 0.218
O 0.308 0.012 0.152
O 0.312 0.763 0.245
O 0.316 0.212 0.360
O 0.320 0.484 0.395
O 0.375 0.015 0.813
O 0.412 0.919 0.984
O 0.424 0.970 0.429
O 0.465 0.190 0.039
O 0.496 0.638 0.840
O 0.504 0.138 0.660
O 0.535 0.690 0.461
O 0.576 0.470 0.071
O 0.588 0.419 0.516
O 0.625 0.515 0.687
O 0.680 0.984 0.105
O 0.684 0.712 0.140
O 0.688 0.263 0.255
O 0.692 0.512 0.348
O 0.705 0.899 0.282
O 0.795 0.101 0.782
O 0.808 0.488 0.848
O 0.812 0.737 0.755
O 0.816 0.288 0.640
O 0.820 0.016 0.605
O 0.875 0.485 0.187
O 0.912 0.581 0.016
O 0.924 0.530 0.571
O 0.965 0.310 0.961
O 0.996 0.862 0.160

Results
Its corrected total energy (MP2020 scheme) is -7.668 eV per atom. As for the volume: 14.2 Å³ per atom. The crystal system is orthorhombic. As for the raw total energy: -487.4 eV per cell. The value obtained for the energy above the most stable polymorph in this dataset is 19.5 meV per atom. The formation energy is -2.84 eV per atom.


| no. | total magnetic moment (μB per atom) |
| --- | --- |
| 1 | 0.286 |
| 2 | 0.375 |
| 3 | 0.176 |